[1]
This record from the Materials Project database describes a relaxed structure of Mg17Al11Zn. The functional is GGA-PBE.

Cell lengths 9.097, 9.097, 9.103 Å; angles 109.44, 109.44, 109.47 degrees
Atoms (fractional coordinates):
Mg  0.000  0.000  0.000
Mg  0.001  0.001  0.655
Mg  0.001  0.345  0.655
Mg  0.001  0.603  0.972
Mg  0.002  0.315  0.259
Mg  0.286  0.685  0.340
Mg  0.315  0.002  0.259
Mg  0.316  0.601  0.656
Mg  0.345  0.001  0.655
Mg  0.397  0.397  0.371
Mg  0.400  0.715  0.054
Mg  0.601  0.316  0.656
Mg  0.603  0.001  0.972
Mg  0.655  0.655  0.311
Mg  0.685  0.286  0.340
Mg  0.685  0.685  0.943
Mg  0.715  0.400  0.054
Al  0.001  0.634  0.470
Al  0.002  0.818  0.291
Al  0.182  0.367  0.022
Al  0.186  0.819  0.841
Al  0.365  0.365  0.832
Al  0.367  0.182  0.022
Al  0.634  0.001  0.470
Al  0.634  0.815  0.656
Al  0.815  0.634  0.656
Al  0.818  0.002  0.291
Al  0.819  0.186  0.841
Zn  0.187  0.187  0.475

Summary:
Electronic total energy = -0.1787 Ry per atom
SG = Cm, No. 8

[2]
This record from the Materials Project database describes a relaxed structure of U3Zn. The functional is GGA-PBE.

Cell lengths 4.349, 4.349, 8.296 Å; angles 90.00, 90.00, 90.00 degrees
Atoms (fractional coordinates):
U  0.000  0.000  0.000
U  0.000  0.500  0.250
U  0.000  0.500  0.750
U  0.500  0.000  0.250
U  0.500  0.000  0.750
U  0.500  0.500  0.500
Zn  0.000  0.000  0.500
Zn  0.500  0.500  0.000

Summary:
Electronic total energy = -0.6303 Ry per atom
SG = I4/mmm, No. 139

[3]
This record from the Materials Project database describes a relaxed structure of Na2SO5. The functional is GGA-PBE.

Cell lengths 7.897, 7.897, 5.653 Å; angles 90.00, 90.00, 131.27 degrees
Atoms (fractional coordinates):
Na  0.000  0.000  0.000
Na  0.000  0.000  0.500
Na  0.305  0.695  0.750
Na  0.695  0.305  0.250
S  0.183  0.817  0.250
S  0.817  0.183  0.750
O  0.040  0.318  0.572
O  0.040  0.318  0.928
O  0.140  0.860  0.750
O  0.318  0.040  0.072
O  0.318  0.040  0.428
O  0.682  0.960  0.572
O  0.682  0.960  0.928
O  0.860  0.140  0.250
O  0.960  0.682  0.072
O  0.960  0.682  0.428

Summary:
Electronic total energy = -0.3306 Ry per atom
Energy relative to the lowest polymorph listed for this composition = 0 meV/atom
Corrected total energy (MP2020 scheme) = -78.84 eV per cell
SG = Cmcm, No. 63

[4]
This record from the Materials Project database describes a relaxed structure of Al2O3. The functional is GGA-PBE.

Cell lengths 2.834, 4.936, 9.043 Å; angles 81.69, 85.19, 88.52 degrees
Atoms (fractional coordinates):
Al  0.073  0.339  0.317
Al  0.392  0.119  0.866
Al  0.608  0.881  0.134
Al  0.927  0.661  0.683
O  0.100  0.663  0.196
O  0.399  0.854  0.745
O  0.473  0.615  0.545
O  0.527  0.385  0.455
O  0.601  0.146  0.255
O  0.900  0.337  0.804

Summary:
Electronic total energy = -0.5009 Ry per atom
Corrected total energy (MP2020 scheme) = -70.94 eV per cell
SG = P-1, No. 2

[5]
This record from the Materials Project database describes a relaxed structure of La4Al6O15. The functional is GGA-PBE.

Cell lengths 6.965, 6.965, 21.226 Å; angles 93.02, 93.02, 42.60 degrees
Atoms (fractional coordinates):
La  0.053  0.670  0.701
La  0.068  0.644  0.898
La  0.330  0.947  0.799
La  0.356  0.932  0.602
La  0.644  0.068  0.398
La  0.670  0.053  0.201
La  0.932  0.356  0.102
La  0.947  0.330  0.299
Al  0.021  0.651  0.526
Al  0.191  0.650  0.305
Al  0.204  0.624  0.086
Al  0.349  0.979  0.974
Al  0.350  0.809  0.195
Al  0.376  0.796  0.414
Al  0.624  0.204  0.586
Al  0.650  0.191  0.805
Al  0.651  0.021  0.026
Al  0.796  0.376  0.914
Al  0.809  0.350  0.695
Al  0.979  0.349  0.474
O  0.013  0.620  0.137
O  0.019  0.743  0.012
O  0.086  0.314  0.708
O  0.103  0.486  0.449
O  0.123  0.877  0.250
O  0.130  0.808  0.380
O  0.192  0.870  0.120
O  0.257  0.981  0.488
O  0.279  0.558  0.581
O  0.308  0.540  0.802
O  0.314  0.086  0.208
O  0.380  0.987  0.363
O  0.442  0.721  0.919
O  0.460  0.692  0.698
O  0.486  0.103  0.949
O  0.514  0.897  0.051
O  0.540  0.308  0.302
O  0.558  0.279  0.081
O  0.620  0.013  0.637
O  0.686  0.914  0.792
O  0.692  0.460  0.198
O  0.721  0.442  0.419
O  0.743  0.019  0.512
O  0.808  0.130  0.880
O  0.870  0.192  0.620
O  0.877  0.123  0.750
O  0.897  0.514  0.551
O  0.914  0.686  0.292
O  0.981  0.257  0.988
O  0.987  0.380  0.863

Summary:
Electronic total energy = -0.5760 Ry per atom
Energy relative to the lowest polymorph listed for this composition = 0 meV/atom
Corrected total energy (MP2020 scheme) = -412.47 eV per cell
SG = C2/c, No. 15

[6]
This record from the Materials Project database describes a relaxed structure of LiCuCSO7. The functional is GGA-PBE.

Cell lengths 5.163, 6.207, 8.917 Å; angles 90.00, 93.41, 90.00 degrees
Atoms (fractional coordinates):
Li  0.232  0.000  0.288
Li  0.768  0.500  0.712
Cu  0.226  0.244  0.850
Cu  0.774  0.744  0.150
C  0.274  0.255  0.571
C  0.726  0.755  0.429
S  0.278  0.747  0.926
S  0.722  0.247  0.074
O  0.050  0.260  0.632
O  0.164  0.761  0.073
O  0.172  0.558  0.837
O  0.208  0.932  0.826
O  0.298  0.227  0.434
O  0.433  0.225  0.052
O  0.473  0.274  0.668
O  0.527  0.774  0.332
O  0.567  0.725  0.948
O  0.702  0.727  0.566
O  0.792  0.432  0.174
O  0.828  0.058  0.163
O  0.836  0.261  0.927
O  0.950  0.760  0.368

Summary:
Electronic total energy = -0.4513 Ry per atom
Corrected total energy (MP2020 scheme) = -144.71 eV per cell
SG = P2_1, No. 4

[7]
This record from the Materials Project database describes a relaxed structure of Na2TiSi2O8. The functional is GGA-PBE.

Cell lengths 15.213, 15.213, 5.307 Å; angles 92.63, 92.63, 33.51 degrees
Atoms (fractional coordinates):
Na  0.039  0.640  0.606
Na  0.072  0.928  0.750
Na  0.333  0.667  0.250
Na  0.360  0.961  0.894
Na  0.640  0.039  0.106
Na  0.667  0.333  0.750
Na  0.928  0.072  0.250
Na  0.961  0.360  0.394
Ti  0.239  0.429  0.128
Ti  0.429  0.239  0.628
Ti  0.571  0.761  0.372
Ti  0.761  0.571  0.872
Si  0.004  0.805  0.071
Si  0.145  0.328  0.769
Si  0.195  0.996  0.429
Si  0.328  0.145  0.269
Si  0.672  0.855  0.731
Si  0.805  0.004  0.571
Si  0.855  0.672  0.231
Si  0.996  0.195  0.929
O  0.047  0.526  0.238
O  0.086  0.138  0.657
O  0.092  0.824  0.072
O  0.117  0.625  0.014
O  0.138  0.086  0.157
O  0.176  0.908  0.428
O  0.208  0.225  0.504
O  0.210  0.376  0.783
O  0.225  0.208  0.004
O  0.300  0.428  0.440
O  0.375  0.883  0.486
O  0.376  0.210  0.283
O  0.391  0.512  0.579
O  0.428  0.300  0.940
O  0.474  0.953  0.262
O  0.488  0.609  0.921
O  0.512  0.391  0.079
O  0.526  0.047  0.738
O  0.572  0.700  0.060
O  0.609  0.488  0.421
O  0.624  0.790  0.717
O  0.625  0.117  0.514
O  0.700  0.572  0.560
O  0.775  0.792  0.996
O  0.790  0.624  0.217
O  0.792  0.775  0.496
O  0.824  0.092  0.572
O  0.862  0.914  0.843
O  0.883  0.375  0.986
O  0.908  0.176  0.928
O  0.914  0.862  0.343
O  0.953  0.474  0.762

Summary:
Electronic total energy = -0.5091 Ry per atom
Corrected total energy (MP2020 scheme) = -382.18 eV per cell
SG = C2/c, No. 15

[8]
This record from the Materials Project database describes a relaxed structure of La3TaO7. The functional is GGA-PBE.

Cell lengths 6.786, 6.786, 7.818 Å; angles 90.00, 90.00, 68.52 degrees
Atoms (fractional coordinates):
La  0.000  0.000  0.000
La  0.000  0.000  0.500
La  0.068  0.477  0.750
La  0.477  0.068  0.250
La  0.523  0.932  0.750
La  0.932  0.523  0.250
Ta  0.500  0.500  0.000
Ta  0.500  0.500  0.500
O  0.107  0.154  0.250
O  0.154  0.107  0.750
O  0.189  0.561  0.032
O  0.189  0.561  0.468
O  0.438  0.562  0.750
O  0.439  0.811  0.032
O  0.439  0.811  0.468
O  0.561  0.189  0.532
O  0.561  0.189  0.968
O  0.562  0.438  0.250
O  0.811  0.439  0.532
O  0.811  0.439  0.968
O  0.846  0.893  0.250
O  0.893  0.846  0.750

Summary:
Electronic total energy = -0.6587 Ry per atom
Energy relative to the lowest polymorph listed for this composition = 0 meV/atom
Corrected total energy (MP2020 scheme) = -206.78 eV per cell
SG = Cmcm, No. 63

[9]
This record from the Materials Project database describes a relaxed structure of Dy3Ge13Os4. The functional is GGA-PBE.

Cell lengths 9.083, 9.083, 9.083 Å; angles 90.00, 90.00, 90.00 degrees
Atoms (fractional coordinates):
Dy  0.000  0.250  0.500
Dy  0.000  0.750  0.500
Dy  0.250  0.500  0.000
Dy  0.500  0.000  0.250
Dy  0.500  0.000  0.750
Dy  0.750  0.500  0.000
Ge  0.000  0.000  0.000
Ge  0.000  0.298  0.145
Ge  0.000  0.298  0.855
Ge  0.000  0.702  0.145
Ge  0.000  0.702  0.855
Ge  0.145  0.000  0.298
Ge  0.145  0.000  0.702
Ge  0.202  0.500  0.355
Ge  0.202  0.500  0.645
Ge  0.298  0.145  0.000
Ge  0.298  0.855  0.000
Ge  0.355  0.202  0.500
Ge  0.355  0.798  0.500
Ge  0.500  0.355  0.202
Ge  0.500  0.355  0.798
Ge  0.500  0.500  0.500
Ge  0.500  0.645  0.202
Ge  0.500  0.645  0.798
Ge  0.645  0.202  0.500
Ge  0.645  0.798  0.500
Ge  0.702  0.145  0.000
Ge  0.702  0.855  0.000
Ge  0.798  0.500  0.355
Ge  0.798  0.500  0.645
Ge  0.855  0.000  0.298
Ge  0.855  0.000  0.702
Os  0.250  0.250  0.250
Os  0.250  0.250  0.750
Os  0.250  0.750  0.250
Os  0.250  0.750  0.750
Os  0.750  0.250  0.250
Os  0.750  0.250  0.750
Os  0.750  0.750  0.250
Os  0.750  0.750  0.750

Summary:
Electronic total energy = -0.4615 Ry per atom
SG = Pm-3n, No. 223

[10]
This record from the Materials Project database describes a relaxed structure of HfO2. The functional is GGA-PBE.

Cell lengths 5.556, 3.334, 6.505 Å; angles 90.00, 90.00, 90.00 degrees
Atoms (fractional coordinates):
Hf  0.249  0.250  0.108
Hf  0.251  0.750  0.608
Hf  0.749  0.250  0.392
Hf  0.751  0.750  0.892
O  0.021  0.750  0.341
O  0.139  0.750  0.923
O  0.361  0.250  0.423
O  0.479  0.250  0.841
O  0.521  0.750  0.159
O  0.639  0.750  0.577
O  0.861  0.250  0.077
O  0.979  0.250  0.659

Summary:
Electronic total energy = -0.7379 Ry per atom
Corrected total energy (MP2020 scheme) = -125.98 eV per cell
SG = Pnma, No. 62

[11]
This record from the Materials Project database describes a relaxed structure of CeGe2Pt. The functional is GGA-PBE.

Cell lengths 9.673, 9.673, 9.673 Å; angles 153.50, 125.94, 61.19 degrees
Atoms (fractional coordinates):
Ce  0.204  0.204  0.000
Ce  0.245  0.000  0.245
Ce  0.755  0.000  0.755
Ce  0.796  0.796  0.000
Ge  0.074  0.574  0.500
Ge  0.152  0.803  0.349
Ge  0.427  0.427  0.000
Ge  0.453  0.803  0.651
Ge  0.547  0.197  0.349
Ge  0.573  0.573  0.000
Ge  0.848  0.197  0.651
Ge  0.926  0.426  0.500
Pt  0.102  0.351  0.751
Pt  0.400  0.649  0.751
Pt  0.600  0.351  0.249
Pt  0.898  0.649  0.249

Summary:
Electronic total energy = -0.4541 Ry per atom
SG = Immm, No. 71

[12]
This record from the Materials Project database describes a relaxed structure of Zr4Re2N. The functional is GGA-PBE.

Cell lengths 8.854, 8.854, 8.854 Å; angles 60.00, 60.00, 60.00 degrees
Atoms (fractional coordinates):
Zr  0.000  0.000  0.000
Zr  0.000  0.000  0.500
Zr  0.000  0.500  0.000
Zr  0.189  0.189  0.561
Zr  0.189  0.561  0.189
Zr  0.189  0.561  0.561
Zr  0.439  0.439  0.811
Zr  0.439  0.811  0.439
Zr  0.439  0.811  0.811
Zr  0.500  0.000  0.000
Zr  0.561  0.189  0.189
Zr  0.561  0.189  0.561
Zr  0.561  0.561  0.189
Zr  0.811  0.439  0.439
Zr  0.811  0.439  0.811
Zr  0.811  0.811  0.439
Re  0.124  0.792  0.792
Re  0.208  0.208  0.208
Re  0.208  0.208  0.876
Re  0.208  0.876  0.208
Re  0.792  0.124  0.792
Re  0.792  0.792  0.124
Re  0.792  0.792  0.792
Re  0.876  0.208  0.208
N  0.000  0.500  0.500
N  0.500  0.000  0.500
N  0.500  0.500  0.000
N  0.500  0.500  0.500

Summary:
Electronic total energy = -0.7542 Ry per atom
Corrected total energy (MP2020 scheme) = -288.76 eV per cell
SG = Fd-3m, No. 227